Record 1
! Pr4B4O11F2 | the Materials Project database | PBE-GGA | relaxed; values from VASP
! V ... 237.2 Å³/f.u.
! Formation energy ... -3.519 eV per atom
&SYSTEM
  ibrav = 0, nat = 42, ntyp = 4
/
ATOMIC_SPECIES
Pr 140.91 Pr.upf
B 10.81 B.upf
O 16.00 O.upf
F 19.00 F.upf
ATOMIC_POSITIONS angstrom
Pr 0.7323 0.1173 5.2367
Pr 0.6090 -0.1173 12.2984
Pr 3.0814 0.1009 1.8107
Pr 2.9581 -0.1009 8.8724
Pr 10.8850 0.1009 5.2510
Pr 10.7617 -0.1009 12.3127
Pr 13.2341 0.1173 1.8250
Pr 13.1108 -0.1173 8.8868
B 5.6031 0.2328 6.6774
B 5.5506 0.0912 11.0860
B 5.6738 -0.0912 4.0243
B 5.4798 -0.2328 13.7391
B 8.3633 0.2328 0.3843
B 8.1693 0.0912 10.0991
B 8.2926 -0.0912 3.0374
B 8.2401 -0.2328 7.4460
O 5.8067 1.5897 6.5376
O 5.5681 1.3193 3.8759
O 4.4622 0.8652 10.4896
O 8.1597 1.5897 0.5241
O 5.5902 0.5919 12.6034
O 8.3983 1.3193 3.1858
O 5.4445 0.2705 0.8608
O 6.8599 0.6771 10.5926
O 5.3212 -0.2705 7.9226
O 8.1296 0.5919 8.5818
O 9.2576 0.8652 10.6955
O 4.5855 -0.8652 3.4279
O 5.7135 -0.5919 5.5417
O 8.5219 0.2705 6.2009
O 6.9832 -0.6771 3.5309
O 8.3987 -0.2705 13.2626
O 5.4448 -1.3193 10.9377
O 8.2529 -0.5919 1.5201
O 5.6834 -1.5897 13.5993
O 9.3809 -0.8652 3.6338
O 8.2750 -1.3193 10.2475
O 8.0364 -1.5897 7.5858
F 3.1417 0.1085 6.0084
F 3.0185 -0.1085 13.0702
F 10.8247 0.1085 1.0533
F 10.7014 -0.1085 8.1150
CELL_PARAMETERS angstrom
7.0449 -2.3842 0.0000
7.0449 2.3842 0.0000
-0.2466 0.0000 14.1234

Record 2
! Sr5B3O9F | the Materials Project database | PBE-GGA | relaxed; values from VASP
! V ... 258.4 Å³/f.u.
! Formation energy ... -3.325 eV per atom
&SYSTEM
  ibrav = 0, nat = 72, ntyp = 4
/
ATOMIC_SPECIES
Sr 87.62 Sr.upf
B 10.81 B.upf
O 16.00 O.upf
F 19.00 F.upf
ATOMIC_POSITIONS angstrom
Sr 0.2057 1.6046 2.4325
Sr 0.2057 5.5443 2.4325
Sr 1.5424 10.7233 4.7633
Sr 1.7909 1.7124 6.1910
Sr 1.7909 5.4365 6.1910
Sr 1.8631 8.8612 1.2443
Sr 1.8631 12.5854 1.2443
Sr 2.1116 3.5744 9.7100
Sr 3.4483 8.7534 7.3792
Sr 3.4483 12.6931 7.3792
Sr 3.8598 1.6046 2.5141
Sr 3.8598 5.5443 2.5141
Sr 5.1965 10.7233 0.1833
Sr 5.4450 1.7124 8.6490
Sr 5.4450 5.4365 8.6490
Sr 5.5172 8.8612 3.7023
Sr 5.5172 12.5854 3.7023
Sr 5.7657 3.5744 5.1300
Sr 7.1024 8.7534 7.4607
Sr 7.1024 12.6931 7.4607
B 1.4589 7.7025 4.3351
B 1.4589 13.7441 4.3351
B 1.5912 10.7233 8.8036
B 2.0629 3.5744 3.8570
B 2.1952 0.5536 9.2817
B 2.1952 6.5952 9.2817
B 5.1129 7.7025 0.6116
B 5.1129 13.7441 0.6116
B 5.2452 10.7233 6.0363
B 5.7169 3.5744 1.0896
B 5.8492 0.5536 5.5582
B 5.8492 6.5952 5.5582
O 0.4128 10.7233 9.5298
O 0.6804 8.4287 3.4367
O 0.6804 13.0178 3.4367
O 0.8415 3.5744 4.5109
O 1.5713 10.7233 7.4057
O 1.6124 7.7903 8.8679
O 1.6124 13.6562 8.8679
O 1.6367 8.1473 5.6481
O 1.6367 13.2993 5.6481
O 2.0174 0.9985 0.7015
O 2.0174 6.1504 0.7015
O 2.0416 0.6415 3.9213
O 2.0416 6.5074 3.9213
O 2.0828 3.5744 2.4591
O 2.8126 10.7233 9.4575
O 2.9736 1.2799 8.3834
O 2.9736 5.8690 8.3834
O 3.2412 3.5744 4.5832
O 4.0669 10.7233 5.3101
O 4.3344 8.4287 1.5099
O 4.3344 13.0178 1.5099
O 4.4955 3.5744 0.4358
O 5.2253 10.7233 7.4342
O 5.2665 7.7903 5.9720
O 5.2665 13.6562 5.9720
O 5.2907 8.1473 9.1918
O 5.2907 13.2993 9.1918
O 5.6714 0.9985 4.2452
O 5.6714 6.1504 4.2452
O 5.6957 0.6415 1.0254
O 5.6957 6.5074 1.0254
O 5.7368 3.5744 2.4876
O 6.4666 10.7233 5.3824
O 6.6277 1.2799 6.4566
O 6.6277 5.8690 6.4566
O 6.8953 3.5744 0.3635
F 1.0229 3.5744 7.5572
F 2.6312 10.7233 2.6105
F 4.6769 3.5744 7.2828
F 6.2852 10.7233 2.3361
CELL_PARAMETERS angstrom
7.3081 0.0000 0.0000
0.0000 14.2977 0.0000
0.0000 0.0000 9.8933

Record 3
! BTe3O3F15 | the Materials Project database | PBE-GGA | relaxed; values from VASP
! V ... 361.4 Å³/f.u.
! Formation energy ... -2.343 eV per atom
&SYSTEM
  ibrav = 0, nat = 44, ntyp = 4
/
ATOMIC_SPECIES
B 10.81 B.upf
Te 127.60 Te.upf
O 16.00 O.upf
F 19.00 F.upf
ATOMIC_POSITIONS angstrom
B 0.0000 5.4249 2.3631
B 4.6981 2.7124 7.0894
Te -3.0143 5.2471 2.3631
Te 1.6611 2.9033 2.3631
Te 3.3449 0.0131 7.0894
Te 1.3532 8.1242 2.3631
Te 3.0370 5.2340 7.0894
Te 7.7124 2.8902 7.0894
O -1.1710 4.6941 2.3631
O -0.0473 6.8043 2.3631
O 1.2183 4.7761 2.3631
O 3.4797 3.3612 7.0894
O 4.7454 1.3330 7.0894
O 5.8690 3.4432 7.0894
F -2.7252 6.5209 1.0234
F -2.7252 6.5209 3.7029
F -1.3292 4.1787 5.7841
F -1.3292 4.1787 8.3947
F -2.6574 6.8158 7.0894
F 0.1241 2.4280 7.0894
F 0.4134 2.5168 1.0234
F 0.4134 2.5168 3.7029
F 2.1648 1.1065 2.3631
F 2.3863 0.9004 5.7497
F 2.3863 0.9004 8.4292
F -0.4146 7.1990 5.7841
F -0.4146 7.1990 8.3947
F 1.7438 4.8968 5.7841
F 1.7438 4.8968 8.3947
F 2.9543 3.2405 1.0578
F 2.9543 3.2405 3.6685
F 5.1127 0.9383 1.0578
F 5.1127 0.9383 3.6685
F 2.3118 7.2369 1.0234
F 2.3118 7.2369 3.7029
F 2.5333 7.0308 7.0894
F 4.2847 5.6205 5.7497
F 4.2847 5.6205 8.4292
F 4.5740 5.7093 2.3631
F 7.3555 1.3215 2.3631
F 6.0272 3.9586 1.0578
F 6.0272 3.9586 3.6685
F 7.4233 1.6164 5.7497
F 7.4233 1.6164 8.4292
CELL_PARAMETERS angstrom
9.3961 0.0000 0.0000
-4.6981 8.1373 0.0000
0.0000 0.0000 9.4526

Record 4
! UTlB5O11F | the Materials Project database | PBE-GGA | relaxed; values from VASP
! V ... 258.3 Å³/f.u.
! Formation energy ... -2.794 eV per atom
&SYSTEM
  ibrav = 0, nat = 19, ntyp = 5
/
ATOMIC_SPECIES
U 238.03 U.upf
Tl 204.38 Tl.upf
B 10.81 B.upf
O 16.00 O.upf
F 19.00 F.upf
ATOMIC_POSITIONS angstrom
U 0.0000 0.0000 0.0000
Tl 6.6850 1.8393 3.8067
B 2.1270 2.7589 0.5027
B 3.0389 2.2899 2.7740
B 5.1687 -0.2859 6.5774
B 4.4524 2.2913 0.7764
B 6.3701 3.8015 0.0552
O 2.7448 2.0079 4.0798
O 5.1859 4.6342 5.3563
O 4.0320 0.5817 6.9271
O 3.4914 3.2286 0.1962
O 4.3311 2.2674 2.2643
O 7.7753 3.9726 6.8963
O 4.2098 0.9357 0.1979
O 5.8287 2.5844 0.3961
O 7.7376 3.8901 0.0487
O 6.5759 0.0509 1.8072
O 8.3990 2.5592 1.9400
F 5.4292 -0.2161 5.1792
CELL_PARAMETERS angstrom
6.4358 0.0000 0.0000
3.1452 5.6197 0.0000
2.1771 -0.9211 7.1428

Record 5
! Tm5B2O6F9 | the Materials Project database | PBE-GGA | relaxed; values from VASP
! V ... 247.6 Å³/f.u.
! Formation energy ... -4.047 eV per atom
&SYSTEM
  ibrav = 0, nat = 44, ntyp = 4
/
ATOMIC_SPECIES
Tm 168.93 Tm.upf
B 10.81 B.upf
O 16.00 O.upf
F 19.00 F.upf
ATOMIC_POSITIONS angstrom
Tm 3.4822 0.7221 2.5835
Tm 9.0859 2.3363 6.0586
Tm 7.8157 0.6601 0.7489
Tm 2.7503 -0.7221 6.6226
Tm 7.0837 -0.6601 4.7880
Tm 11.8201 0.6601 3.2902
Tm 16.1536 0.7221 1.4556
Tm 11.0882 -0.6601 7.3293
Tm 9.8179 -2.3363 2.0195
Tm 15.4216 -0.7221 5.4947
B 1.4487 0.5679 4.5473
B 2.1807 -0.5679 0.5082
B 16.7232 0.5679 7.5700
B 17.4551 -0.5679 3.5309
O 7.8726 2.3903 2.2835
O 3.1862 0.3768 0.3129
O 7.5062 1.5667 4.5676
O 11.7632 2.3903 1.7556
O 2.4543 -0.3768 4.3520
O 10.6657 1.5667 7.5497
O 8.2381 -1.5667 0.5285
O 16.4496 0.3768 3.7262
O 7.1406 -2.3903 6.3226
O 11.3976 -1.5667 3.5106
O 15.7176 -0.3768 7.7653
O 11.0313 -2.3903 5.7947
F 3.4627 1.3104 6.3305
F 9.5190 1.8969 0.1077
F 5.1365 0.4611 4.2002
F 10.1167 1.8969 3.9314
F 6.3133 0.4480 6.5718
F 5.8685 -0.4611 0.1611
F 7.0453 -0.4480 2.5327
F 4.1946 -1.3104 2.2914
F 9.0859 0.0926 6.0586
F 9.8179 -0.0926 2.0195
F 14.7092 1.3104 5.7868
F 11.8586 0.4480 5.5455
F 13.0353 0.4611 7.9171
F 12.5905 -0.4480 1.5064
F 8.7871 -1.8969 4.1468
F 13.7673 -0.4611 3.8780
F 9.3848 -1.8969 7.9705
F 15.4412 -1.3104 1.7477
CELL_PARAMETERS angstrom
10.1839 -3.0099 0.0000
10.1839 3.0099 0.0000
-1.4639 0.0000 8.0782

Record 6
! B4PF9 | the Materials Project database | PBE-GGA | relaxed; values from VASP
! V ... 230.3 Å³/f.u.
! Formation energy ... -2.498 eV per atom
&SYSTEM
  ibrav = 0, nat = 56, ntyp = 3
/
ATOMIC_SPECIES
B 10.81 B.upf
P 30.97 P.upf
F 19.00 F.upf
ATOMIC_POSITIONS angstrom
B 3.1209 2.6722 1.0707
B 3.2377 1.2889 4.8259
B 3.2377 4.0555 4.8259
B 3.2521 8.0166 2.5744
B 3.7807 2.6722 5.6381
B 3.7952 6.6333 1.7623
B 3.7952 9.3999 1.7623
B 3.9119 8.0166 4.1343
B 10.1537 2.6722 1.9929
B 10.2705 1.2889 4.3650
B 10.2705 4.0555 4.3650
B 10.2850 8.0166 0.4892
B 10.8135 2.6722 3.5528
B 10.8280 6.6333 1.3013
B 10.8280 9.3999 1.3013
B 10.9448 8.0166 5.0565
P 1.4056 8.0166 2.6253
P 5.6273 2.6722 5.6889
P 8.4384 8.0166 0.4383
P 12.6601 2.6722 3.5019
F 0.6948 8.0166 1.2454
F 0.7255 6.8130 3.3316
F 0.7255 9.2201 3.3316
F 1.8010 2.6722 1.2755
F 1.9395 1.0722 4.5936
F 1.9395 4.2722 4.5936
F 2.9710 5.6622 1.3009
F 2.9710 10.3709 1.3009
F 3.1635 8.0166 5.2635
F 3.8693 2.6722 2.1999
F 4.0618 0.3179 4.3645
F 4.0618 5.0265 4.3645
F 5.0933 6.4166 1.5300
F 5.0933 9.6166 1.5300
F 5.2318 8.0166 4.3391
F 6.3073 1.4686 0.2680
F 6.3073 3.8758 0.2680
F 6.3381 2.6722 4.3090
F 7.7276 8.0166 1.8182
F 7.7583 6.8130 5.8592
F 7.7583 9.2201 5.8592
F 8.8339 2.6722 1.7881
F 8.9723 1.0722 4.5973
F 8.9723 4.2722 4.5973
F 10.0039 5.6622 1.7627
F 10.0039 10.3709 1.7627
F 10.1964 8.0166 3.9273
F 10.9021 2.6722 0.8637
F 11.0946 0.3179 4.8263
F 11.0946 5.0265 4.8263
F 12.1261 6.4166 1.5337
F 12.1261 9.6166 1.5337
F 12.2646 8.0166 4.8517
F 13.3401 1.4686 2.7956
F 13.3401 3.8758 2.7956
F 13.3709 2.6722 4.8818
CELL_PARAMETERS angstrom
14.0656 0.0000 0.0000
0.0000 10.6887 0.0000
0.0000 0.0000 6.1272

Record 7
! BSF7 | the Materials Project database | PBE-GGA | relaxed; values from VASP
! V ... 129.0 Å³/f.u.
! Formation energy ... -2.523 eV per atom
&SYSTEM
  ibrav = 0, nat = 36, ntyp = 3
/
ATOMIC_SPECIES
B 10.81 B.upf
S 32.06 S.upf
F 19.00 F.upf
ATOMIC_POSITIONS angstrom
B 0.1935 1.4538 1.4556
B 4.6885 4.3614 6.0002
B 5.0754 1.4538 3.0891
B 9.5704 4.3614 7.6337
S 2.0577 4.3614 1.0494
S 2.8242 1.4538 5.5941
S 6.9396 4.3614 3.4952
S 7.7061 1.4538 8.0398
F 0.6324 0.2935 2.1653
F 0.6324 2.6141 2.1653
F 0.7308 1.4538 0.1660
F 1.2289 4.3614 7.7076
F 1.9343 0.2965 5.0514
F 1.9343 2.6112 5.0514
F 2.2442 1.4538 7.0307
F 2.6377 4.3614 2.4861
F 2.9476 3.2041 0.5068
F 2.9476 5.5188 0.5068
F 3.6530 1.4538 3.1630
F 4.1511 4.3614 4.7107
F 4.2495 3.2011 6.7100
F 4.2495 5.5218 6.7100
F 5.5143 0.2935 2.3793
F 5.5143 2.6141 2.3793
F 5.6127 1.4538 4.3786
F 6.1108 4.3614 5.9263
F 6.8162 0.2965 8.5825
F 6.8162 2.6112 8.5825
F 7.1261 1.4538 6.6032
F 7.5196 4.3614 2.0586
F 7.8295 3.2041 4.0379
F 7.8295 5.5188 4.0379
F 8.5349 1.4538 1.3817
F 9.0330 4.3614 8.9233
F 9.1314 3.2011 6.9240
F 9.1314 5.5218 6.9240
CELL_PARAMETERS angstrom
9.7638 0.0000 0.0000
0.0000 5.8152 0.0000
0.0000 0.0000 9.0893

Record 8
! Sn5BF13 | the Materials Project database | PBE-GGA | relaxed; values from VASP
! V ... 344.9 Å³/f.u.
! Formation energy ... -2.720 eV per atom
&SYSTEM
  ibrav = 0, nat = 76, ntyp = 3
/
ATOMIC_SPECIES
Sn 118.71 Sn.upf
B 10.81 B.upf
F 19.00 F.upf
ATOMIC_POSITIONS angstrom
Sn -1.6962 0.7909 4.4753
Sn -5.2282 3.0950 10.8266
Sn -1.8424 4.6027 6.6003
Sn 1.6897 7.0551 0.2489
Sn -1.5995 0.6320 8.6817
Sn 1.9325 3.2540 2.3304
Sn -1.7590 4.7947 10.4402
Sn 1.7730 6.8631 4.0889
Sn -1.7687 1.2880 12.6240
Sn 1.7634 2.5979 6.2726
Sn 5.1448 5.1740 6.4301
Sn 8.6769 6.4838 0.0787
Sn 5.1352 0.9088 8.6138
Sn 8.6672 2.9772 2.2625
Sn 4.9757 4.5179 10.3723
Sn 8.5078 7.1399 4.0210
Sn 5.2186 0.7167 12.4538
Sn 8.7506 3.1692 6.1025
Sn 12.1364 4.6768 1.8761
Sn 8.6044 6.9810 8.2274
B 5.1271 5.3424 1.7667
B 1.5951 6.3154 8.1181
B 5.3131 1.4565 4.5846
B 1.7811 2.4295 10.9360
F -6.5108 1.0345 12.1201
F -2.9787 2.8514 5.7687
F -3.7711 0.7220 8.6463
F -0.2390 3.1639 2.2949
F -1.8389 0.0703 6.4443
F 1.6932 3.8156 0.0929
F -3.9077 4.9175 10.4830
F -0.3756 6.7403 4.1316
F 1.5473 0.2443 2.2148
F -1.9847 3.6417 8.5662
F 1.5108 5.4049 2.3081
F -2.0212 6.2530 8.6595
F 3.2106 1.1124 0.1542
F -0.3214 2.7736 6.5055
F 1.0470 1.2033 4.7763
F -2.4850 2.6826 11.1277
F 1.6510 3.9545 4.6389
F -1.8810 7.7033 10.9902
F 1.1084 5.1415 7.4599
F 4.6404 6.5163 1.1086
F 4.8419 4.2137 0.9480
F 1.3099 7.4441 7.2993
F 4.4892 5.2000 3.0142
F 0.9572 6.4578 9.3656
F 3.9061 1.5701 4.4169
F 0.3740 2.3158 10.7683
F 6.5342 5.4561 1.9344
F 3.0021 6.2017 8.2858
F 5.9511 1.3140 3.3371
F 2.4190 2.5719 9.6885
F 5.5984 0.3277 5.4034
F 2.0663 3.5582 11.7547
F 2.2678 1.2556 11.5941
F 5.7998 2.6304 5.2428
F 8.7892 0.0685 1.7125
F 5.2572 3.8174 8.0638
F 9.3932 5.0893 1.5750
F 5.8612 6.5686 7.9264
F 7.2297 4.9983 6.1972
F 3.6976 6.6595 12.5486
F 8.9294 1.5189 4.0432
F 5.3974 2.3670 10.3946
F 8.8929 4.1302 4.1365
F 5.3609 7.5276 10.4879
F 7.2838 1.0316 8.5711
F 10.8159 2.8544 2.2197
F 5.2151 3.9563 12.6098
F 8.7471 7.7015 6.2585
F 7.1472 4.6079 10.4078
F 10.6793 7.0499 4.0564
F 9.8870 4.9204 6.9340
F 13.4190 6.7374 0.5826
CELL_PARAMETERS angstrom
13.9723 0.0000 0.0000
0.0000 7.7719 0.0000
-7.0641 0.0000 12.7027